[1]
Density functional theory data (PBE-GGA) for a relaxed structure of NaHoO2.

a b c (Å): 7.4126 7.4126 5.9604
angles (deg): 76.03 76.03 126.63
Sites, in units of the cell vectors:
O (0.3598, 0.2328, 0.7038)
O (0.2328, 0.3598, 0.2038)
O (0.0843, 0.4605, 0.7058)
O (0.4605, 0.0843, 0.2058)
O (0.9157, 0.5395, 0.2942)
O (0.5395, 0.9157, 0.7942)
O (0.6402, 0.7672, 0.2962)
O (0.7672, 0.6402, 0.7962)
Ho (0.3068, 0.6932, 0.2500)
Ho (0.4328, 0.5672, 0.7500)
Ho (0.6932, 0.3068, 0.7500)
Ho (0.5672, 0.4328, 0.2500)
Na (0.0557, 0.9443, 0.2500)
Na (0.9443, 0.0557, 0.7500)
Na (0.8199, 0.1801, 0.2500)
Na (0.1801, 0.8199, 0.7500)

Summary:
**Calculated total energy**: -6.7791 eV/atom
**Energy of formation from the pure elements**: -3.17 eV/atom
**Calculated volume**: 13.8 Å³/atom



[2]
Density functional theory data (PBE-GGA) for a relaxed structure of NaB3H4O7.

a b c (Å): 10.4863 10.4863 6.4417
angles (deg): 77.75 77.75 56.48
Sites, in units of the cell vectors:
H (0.3841, 0.4978, 0.5040)
H (0.3709, 0.1300, 0.4469)
H (0.1307, 0.9720, 0.0218)
H (0.8700, 0.6291, 0.0531)
H (0.9720, 0.1307, 0.5218)
H (0.6337, 0.7596, 0.1684)
H (0.6159, 0.5022, 0.4960)
H (0.4978, 0.3841, 0.0040)
H (0.0280, 0.8693, 0.4782)
H (0.6291, 0.8700, 0.5531)
H (0.7596, 0.6337, 0.6684)
H (0.1300, 0.3709, 0.9469)
H (0.5022, 0.6159, 0.9960)
H (0.3663, 0.2404, 0.8316)
H (0.2404, 0.3663, 0.3316)
H (0.8693, 0.0280, 0.9782)
O (0.4588, 0.1427, 0.7825)
O (0.0231, 0.6627, 0.0056)
O (0.2944, 0.6058, 0.4972)
O (0.9355, 0.8629, 0.4878)
O (0.4075, 0.2021, 0.4061)
O (0.1427, 0.4588, 0.2825)
O (0.6058, 0.2944, 0.9972)
O (0.8688, 0.1897, 0.9824)
O (0.1897, 0.8688, 0.4824)
O (0.8103, 0.1312, 0.5176)
O (0.9769, 0.3373, 0.9944)
O (0.0645, 0.1371, 0.5122)
O (0.6627, 0.0231, 0.5056)
O (0.6971, 0.4645, 0.9806)
O (0.3373, 0.9769, 0.4944)
O (0.3029, 0.5355, 0.0194)
O (0.7979, 0.5925, 0.0939)
O (0.8629, 0.9355, 0.9878)
O (0.3942, 0.7056, 0.0028)
O (0.2021, 0.4075, 0.9061)
O (0.5355, 0.3029, 0.5194)
O (0.7056, 0.3942, 0.5028)
O (0.4645, 0.6971, 0.4806)
O (0.1371, 0.0645, 0.0122)
O (0.5412, 0.8573, 0.2175)
O (0.5925, 0.7979, 0.5939)
O (0.8573, 0.5412, 0.7175)
O (0.1312, 0.8103, 0.0176)
B (0.4884, 0.8297, 0.4426)
B (0.7202, 0.3232, 0.9843)
B (0.6768, 0.2798, 0.5157)
B (0.8297, 0.4884, 0.9426)
B (0.9958, 0.1986, 0.9938)
B (0.1703, 0.5116, 0.0574)
B (0.1986, 0.9958, 0.4938)
B (0.8014, 0.0042, 0.5062)
B (0.2798, 0.6768, 0.0157)
B (0.0042, 0.8014, 0.0062)
B (0.5116, 0.1703, 0.5574)
B (0.3232, 0.7202, 0.4843)
Na (0.5898, 0.0645, 0.1005)
Na (0.4102, 0.9355, 0.8995)
Na (0.9355, 0.4102, 0.3995)
Na (0.0645, 0.5898, 0.6005)

Summary:
**Magnetization**: 0.000 μB/atom
**Calculated total energy**: -6.5085 eV/atom
**Energy of formation from the pure elements**: -2.19 eV/atom
**Calculated volume**: 9.6 Å³/atom



[3]
Density functional theory data (PBE-GGA) for a relaxed structure of TmNiGe2.

a b c (Å): 9.2102 9.2102 9.2102
angles (deg): 154.08 125.20 61.59
Sites, in units of the cell vectors:
Ge (0.4209, 0.4209, 0.0000)
Ge (0.1438, 0.8022, 0.3416)
Ge (0.9230, 0.4230, 0.5000)
Ge (0.5791, 0.5791, 0.0000)
Ge (0.5394, 0.1978, 0.3416)
Ge (0.0770, 0.5770, 0.5000)
Ge (0.4606, 0.8022, 0.6584)
Ge (0.8562, 0.1978, 0.6584)
Ni (0.3976, 0.6472, 0.7503)
Ni (0.6024, 0.3528, 0.2497)
Ni (0.8969, 0.6472, 0.2497)
Ni (0.1031, 0.3528, 0.7503)
Tm (0.2033, 0.2033, 0.0000)
Tm (0.7967, 0.7967, 0.0000)
Tm (0.2384, 0.0000, 0.2384)
Tm (0.7616, 0.0000, 0.7616)

Summary:
**Calculated total energy**: -5.5554 eV/atom
**Energy of formation from the pure elements**: -0.68 eV/atom
**Calculated volume**: 17.3 Å³/atom



[4]
Density functional theory data (PBE-GGA) for a relaxed structure of Sm5Sn3.

a b c (Å): 9.1826 9.1826 6.7461
angles (deg): 90.00 90.00 120.00
Sites, in units of the cell vectors:
Sm (0.0000, 0.2407, 0.7500)
Sm (0.7593, 0.0000, 0.2500)
Sm (0.6667, 0.3333, 0.0000)
Sm (0.3333, 0.6667, 0.5000)
Sm (0.3333, 0.6667, 0.0000)
Sm (0.2407, 0.2407, 0.2500)
Sm (0.2407, 0.0000, 0.7500)
Sm (0.6667, 0.3333, 0.5000)
Sm (0.7593, 0.7593, 0.7500)
Sm (0.0000, 0.7593, 0.2500)
Sn (0.3943, 0.3943, 0.7500)
Sn (0.0000, 0.3943, 0.2500)
Sn (0.6057, 0.0000, 0.7500)
Sn (0.6057, 0.6057, 0.2500)
Sn (0.0000, 0.6057, 0.7500)
Sn (0.3943, 0.0000, 0.2500)

Summary:
**Calculated total energy**: -5.1607 eV/atom
**Energy of formation from the pure elements**: -0.71 eV/atom
**Calculated volume**: 30.8 Å³/atom